1.
# CaP2W2O9 (PBE with a Hubbard U, optimized geometry)
data_CaP2W2O9
_cell_length_a 15.1445
_cell_length_b 6.7775
_cell_length_c 7.4402
_cell_angle_alpha 90.00
_cell_angle_beta 90.00
_cell_angle_gamma 90.00
_symmetry_space_group_name_H-M 'P n m a'
_symmetry_Int_Tables_number 62
loop_
_symmetry_equiv_pos_as_xyz
'x,y,z'
'-x,-y,-z'
'-x+1/2,-y,z+1/2'
'x+1/2,y,-z+1/2'
'x+1/2,-y+1/2,-z+1/2'
'-x+1/2,y+1/2,z+1/2'
'-x,y+1/2,-z'
'x,-y+1/2,z'
loop_
_atom_site_label
_atom_site_type_symbol
_atom_site_fract_x
_atom_site_fract_y
_atom_site_fract_z
_atom_site_occupancy
Ca1 Ca 0.2220 0.2500 0.1017 1
P1 P 0.0729 0.7500 0.6297 1
P2 P 0.1905 0.7500 0.1020 1
W1 W 0.0000 0.0000 0.0000 1
W2 W 0.1239 0.2500 0.6323 1
O1 O 0.0051 0.7500 0.4824 1
O2 O 0.0236 0.7500 0.8175 1
O3 O 0.0619 0.2500 0.8820 1
O4 O 0.1344 0.5581 0.1003 1
O5 O 0.1366 0.5705 0.6238 1
O6 O 0.2411 0.2500 0.4425 1
O7 O 0.2504 0.2500 0.7744 1
# size of the total moment	6.0	μB per formula unit
# energy of formation from the pure elements	-2.536	eV per atom
# MP2020-corrected energy	-8.485	eV/atom

***

2.
# Li9Mn2Co5O16 (PBE with a Hubbard U, optimized geometry)
data_Li9Mn2Co5O16
_cell_length_a 5.1401
_cell_length_b 5.8303
_cell_length_c 10.3370
_cell_angle_alpha 104.81
_cell_angle_beta 95.18
_cell_angle_gamma 108.16
_symmetry_space_group_name_H-M 'P 1'
_symmetry_Int_Tables_number 1
loop_
_symmetry_equiv_pos_as_xyz
'x,y,z'
loop_
_atom_site_label
_atom_site_type_symbol
_atom_site_fract_x
_atom_site_fract_y
_atom_site_fract_z
_atom_site_occupancy
Li1 Li 0.0000 0.0000 0.0000 1
Li2 Li 0.0000 0.2438 0.5128 1
Li3 Li 0.0031 0.4952 0.0010 1
Li4 Li 0.0060 0.6160 0.7503 1
Li5 Li 0.0071 0.3792 0.2487 1
Li6 Li 0.0065 0.8695 0.2512 1
Li7 Li 0.0079 0.1312 0.7521 1
Li8 Li 0.0110 0.7691 0.5097 1
Li9 Li 0.5069 0.1858 0.6303 1
Mn1 Mn 0.5006 0.3148 0.3804 1
Mn2 Mn 0.5131 0.6910 0.6304 1
Co1 Co 0.4972 0.4383 0.1264 1
Co2 Co 0.5019 0.8202 0.3792 1
Co3 Co 0.5058 0.9381 0.1284 1
Co4 Co 0.5067 0.0585 0.8769 1
Co5 Co 0.5076 0.5527 0.8785 1
O1 O 0.2621 0.2846 0.9514 1
O2 O 0.2719 0.1832 0.1972 1
O3 O 0.2789 0.4253 0.6940 1
O4 O 0.2799 0.0352 0.4316 1
O5 O 0.2796 0.6877 0.1963 1
O6 O 0.2862 0.5389 0.4419 1
O7 O 0.2921 0.8939 0.6942 1
O8 O 0.3034 0.7818 0.9407 1
O9 O 0.7140 0.5933 0.3119 1
O10 O 0.7175 0.1003 0.3178 1
O11 O 0.7196 0.3366 0.8261 1
O12 O 0.7277 0.1944 0.0638 1
O13 O 0.7294 0.4734 0.5558 1
O14 O 0.7347 0.6973 0.0624 1
O15 O 0.7346 0.9476 0.5582 1
O16 O 0.7549 0.8289 0.8016 1
# size of the total moment	10.0	μB per formula unit
# energy of formation from the pure elements	-1.853	eV per atom
# energy relative to the lowest polymorph listed for this composition	11	meV per atom
# MP2020-corrected energy	-6.547	eV/atom